[1]
The following is a DFT calculation (PBE) of crystalline UZnH5Se2O10 at its relaxed geometry.

Values from the calculation:
Raw total energy in eV/cell: -407.88
Total magnetic moment in μB/f.u.: 1.00
E_form in eV/atom: -1.203

Structure (CIF):
```
data_UZnH5Se2O10
_cell_length_a 8.5921
_cell_length_b 11.7352
_cell_length_c 12.2647
_cell_angle_alpha 90.00
_cell_angle_beta 90.52
_cell_angle_gamma 90.00
_space_group_name_H-M_alt 'P 1 21/c 1'
_space_group_IT_number 14
loop_
_space_group_symop_operation_xyz
'x,y,z'
'-x,-y,-z'
'-x,y+1/2,-z+1/2'
'x,-y+1/2,z+1/2'
loop_
_atom_site_label
_atom_site_fract_x
_atom_site_fract_y
_atom_site_fract_z
U1 0.1010 0.0994 0.2668
Zn1 0.3067 0.6990 0.0078
H1 0.1374 0.6319 0.5207
H2 0.2043 0.6065 0.4898
H3 0.2396 0.5800 0.0212
H4 0.3232 0.1491 0.9043
H5 0.3935 0.0816 0.2206
Se1 0.2598 0.0986 0.7314
Se2 0.2768 0.7080 0.7508
O1 0.0649 0.0722 0.1252
O2 0.0996 0.0285 0.6943
O3 0.1072 0.7302 0.2151
O4 0.1571 0.1337 0.4044
O5 0.2356 0.2373 0.7040
O6 0.2401 0.5720 0.7825
O7 0.2582 0.0862 0.8764
O8 0.3564 0.7268 0.3599
O9 0.3966 0.7154 0.6435
O10 0.4192 0.0456 0.6830
```

=====

[2]
The following is a DFT calculation (PBE) of crystalline YH5Se2O8 at its relaxed geometry.

Values from the calculation:
Raw total energy in eV/cell: -368.67
Total magnetic moment in μB/f.u.: 0.00
E_form in eV/atom: -1.729

Structure (CIF):
```
data_YH5Se2O8
_cell_length_a 6.6841
_cell_length_b 7.0290
_cell_length_c 16.3157
_cell_angle_alpha 90.00
_cell_angle_beta 90.00
_cell_angle_gamma 90.00
_space_group_name_H-M_alt 'P 21 21 21'
_space_group_IT_number 19
loop_
_space_group_symop_operation_xyz
'x,y,z'
'-x+1/2,-y,z+1/2'
'x+1/2,-y+1/2,-z'
'-x,y+1/2,-z+1/2'
loop_
_atom_site_label
_atom_site_fract_x
_atom_site_fract_y
_atom_site_fract_z
Y1 0.1251 0.1085 0.2160
H1 0.0272 0.4185 0.1039
H2 0.0553 0.2706 0.8986
H3 0.1114 0.2598 0.0407
H4 0.1909 0.0957 0.9186
H5 0.1999 0.1696 0.5464
Se1 0.1326 0.3116 0.4210
Se2 0.1550 0.3888 0.7282
O1 0.0321 0.8905 0.6996
O2 0.0704 0.2053 0.5178
O3 0.1000 0.9026 0.0987
O4 0.1041 0.1913 0.9442
O5 0.1120 0.3033 0.0994
O6 0.1383 0.1059 0.3625
O7 0.1851 0.4309 0.2625
O8 0.1882 0.7890 0.2638
```

=====

[3]
The following is a DFT calculation (PBE) of crystalline ZnH2Se2O8 at its relaxed geometry.

Values from the calculation:
Raw total energy in eV/cell: -130.22
Total magnetic moment in μB/f.u.: 0.00
E_form in eV/atom: -1.229

Structure (CIF):
```
data_ZnH2Se2O8
_cell_length_a 5.1659
_cell_length_b 8.7821
_cell_length_c 8.5414
_cell_angle_alpha 90.00
_cell_angle_beta 119.24
_cell_angle_gamma 90.00
_space_group_name_H-M_alt 'P 1 21/c 1'
_space_group_IT_number 14
loop_
_space_group_symop_operation_xyz
'x,y,z'
'-x,-y,-z'
'-x,y+1/2,-z+1/2'
'x,-y+1/2,z+1/2'
loop_
_atom_site_label
_atom_site_fract_x
_atom_site_fract_y
_atom_site_fract_z
Zn1 0.0000 0.0000 0.0000
H1 0.4243 0.0094 0.6466
Se1 0.3326 0.6838 0.2878
O1 0.0436 0.6367 0.3111
O2 0.3042 0.5880 0.1002
O3 0.3166 0.6336 0.7289
O4 0.3434 0.1443 0.0334
```